Computed, not measured: a relaxed structure of Li2MnVP2O8F2 at the GGA+U level of DFT.

Cell lengths 5.198, 10.507, 10.479 Å; angles 78.26, 80.56, 82.73 degrees
Element x y z (fractional)
F (0.930, 0.934, 0.207)
F (0.253, 0.604, 0.870)
O (0.927, 0.444, 0.359)
V (0.835, 0.166, 0.665)
P (0.480, 0.198, 0.960)
O (0.547, 0.200, 0.813)
O (0.973, 0.335, 0.677)
O (0.276, 0.853, 0.965)
F (0.741, 0.393, 0.138)
V (0.669, 0.333, 0.333)
P (0.521, 0.802, 0.039)
P (0.150, 0.532, 0.293)
O (0.748, 0.889, 0.973)
Mn (0.499, 0.500, 0.001)
O (0.877, 0.866, 0.480)
F (0.600, 0.270, 0.533)
Li (0.332, 0.935, 0.746)
O (0.077, 0.558, 0.642)
O (0.310, 0.998, 0.343)
O (0.253, 0.111, 0.026)
Mn (0.332, 0.667, 0.667)
O (0.409, 0.222, 0.307)
O (0.056, 0.816, 0.701)
O (0.586, 0.776, 0.694)
Li (0.332, 0.399, 0.586)
P (0.810, 0.864, 0.628)
O (0.362, 0.333, 0.994)
O (0.944, 0.182, 0.298)
Li (0.999, 0.731, 0.919)
O (0.392, 0.484, 0.368)
O (0.690, 0.999, 0.658)
F (0.403, 0.732, 0.460)
O (0.725, 0.147, 0.035)
O (0.026, 0.668, 0.321)
Li (0.666, 0.064, 0.255)
P (0.852, 0.470, 0.708)
Li (0.668, 0.603, 0.412)
V (0.166, 0.833, 0.334)
O (0.119, 0.133, 0.520)
O (0.455, 0.801, 0.186)
O (0.782, 0.468, 0.856)
P (0.187, 0.134, 0.372)
F (0.070, 0.066, 0.793)
Li (0.001, 0.268, 0.082)
O (0.220, 0.533, 0.145)
O (0.639, 0.667, 0.006)
O (0.608, 0.519, 0.633)
Mn (0.000, 0.000, 0.000)

Results
Energy above the most stable polymorph in this dataset in meV/atom: 27
Energy of formation from the pure elements in meV/atom: -2734

Computed, not measured: a relaxed structure of Li2MnVP2O8F2 at the GGA+U level of DFT.

Cell lengths 5.239, 7.501, 14.748 Å; angles 93.31, 94.22, 105.27 degrees
Element x y z (fractional)
O (0.576, 0.328, 0.942)
O (0.773, 0.143, 0.053)
F (0.643, 0.507, 0.784)
V (0.334, 0.333, 0.834)
P (0.597, 0.279, 0.041)
O (0.686, 0.815, 0.927)
O (0.892, 0.525, 0.613)
V (0.333, 0.333, 0.333)
P (0.406, 0.724, 0.960)
Li (0.605, 0.336, 0.526)
O (0.251, 0.554, 0.895)
P (0.928, 0.611, 0.372)
Li (0.938, 0.667, 0.857)
O (0.911, 0.664, 0.273)
O (0.981, 0.853, 0.740)
O (0.756, 0.005, 0.393)
O (0.242, 0.992, 0.608)
O (0.018, 0.144, 0.261)
O (0.350, 0.477, 0.594)
P (0.263, 0.941, 0.707)
O (0.101, 0.473, 0.384)
F (0.323, 0.191, 0.442)
Li (0.392, 0.666, 0.477)
O (0.438, 0.804, 0.721)
Mn (0.665, 0.666, 0.667)
V (0.004, 0.003, 0.000)
Mn (0.996, 0.997, 0.500)
O (0.583, 0.888, 0.226)
O (0.565, 0.194, 0.282)
O (0.751, 0.448, 0.107)
O (0.317, 0.189, 0.073)
O (0.415, 0.112, 0.772)
P (0.069, 0.389, 0.627)
O (0.649, 0.523, 0.405)
F (0.673, 0.817, 0.552)
O (0.425, 0.673, 0.059)
Li (0.274, 0.002, 0.190)
F (0.989, 0.857, 0.109)
O (0.084, 0.779, 0.439)
Li (0.728, 0.995, 0.808)
O (0.231, 0.860, 0.946)
F (0.024, 0.151, 0.887)
O (0.917, 0.220, 0.560)
P (0.739, 0.056, 0.293)
F (0.344, 0.476, 0.225)
Li (0.060, 0.331, 0.143)
Mn (0.669, 0.669, 0.166)
O (0.089, 0.339, 0.725)

Results
Energy above the most stable polymorph in this dataset in meV/atom: 28
Energy of formation from the pure elements in meV/atom: -2733

Computed, not measured: a relaxed structure of Li2MnVP2O8F2 at the GGA+U level of DFT.

Cell lengths 5.238, 10.353, 10.525 Å; angles 78.75, 83.85, 80.29 degrees
Element x y z (fractional)
O (0.077, 0.142, 0.053)
F (0.268, 0.366, 0.104)
F (0.408, 0.974, 0.227)
O (0.611, 0.131, 0.013)
O (0.403, 0.807, 0.722)
F (0.923, 0.697, 0.438)
P (0.521, 0.540, 0.303)
O (0.643, 0.510, 0.168)
P (0.851, 0.205, 0.965)
O (0.452, 0.690, 0.302)
O (0.548, 0.310, 0.698)
F (0.592, 0.026, 0.773)
O (0.745, 0.473, 0.392)
Mn (0.835, 0.167, 0.665)
O (0.923, 0.858, 0.947)
V (0.663, 0.832, 0.835)
Mn (0.000, 0.500, 0.500)
O (0.283, 0.465, 0.346)
O (0.062, 0.203, 0.319)
Li (0.339, 0.251, 0.435)
O (0.938, 0.797, 0.681)
Li (0.998, 0.578, 0.766)
Li (0.332, 0.086, 0.898)
O (0.784, 0.355, 0.964)
P (0.822, 0.129, 0.366)
O (0.216, 0.645, 0.036)
O (0.597, 0.193, 0.278)
O (0.888, 0.979, 0.367)
Li (0.661, 0.749, 0.565)
O (0.027, 0.827, 0.169)
O (0.717, 0.535, 0.654)
O (0.255, 0.527, 0.608)
F (0.732, 0.634, 0.896)
O (0.698, 0.160, 0.500)
O (0.389, 0.869, 0.987)
Li (0.002, 0.422, 0.234)
V (0.500, 0.500, 0.000)
P (0.479, 0.460, 0.697)
P (0.178, 0.871, 0.634)
O (0.112, 0.021, 0.633)
O (0.357, 0.490, 0.832)
Li (0.668, 0.914, 0.102)
O (0.973, 0.173, 0.831)
O (0.302, 0.840, 0.500)
P (0.149, 0.795, 0.035)
F (0.077, 0.303, 0.562)
V (0.337, 0.168, 0.165)
Mn (0.165, 0.833, 0.335)

Results
Energy above the most stable polymorph in this dataset in meV/atom: 28
Energy of formation from the pure elements in meV/atom: -2733

Q: Among the records above, which one has the lowest energy of formation from the pure elements?
A: number 1

Q: Which value of energy above the most stable polymorph in this dataset does entry 1 give?
A: 27 meV/atom

What did the second record say?
Computed, not measured: a relaxed structure of Li2MnVP2O8F2 at the GGA+U level of DFT.

Cell lengths 5.239, 7.501, 14.748 Å; angles 93.31, 94.22, 105.27 degrees
Element x y z (fractional)
O (0.576, 0.328, 0.942)
O (0.773, 0.143, 0.053)
F (0.643, 0.507, 0.784)
V (0.334, 0.333, 0.834)
P (0.597, 0.279, 0.041)
O (0.686, 0.815, 0.927)
O (0.892, 0.525, 0.613)
V (0.333, 0.333, 0.333)
P (0.406, 0.724, 0.960)
Li (0.605, 0.336, 0.526)
O (0.251, 0.554, 0.895)
P (0.928, 0.611, 0.372)
Li (0.938, 0.667, 0.857)
O (0.911, 0.664, 0.273)
O (0.981, 0.853, 0.740)
O (0.756, 0.005, 0.393)
O (0.242, 0.992, 0.608)
O (0.018, 0.144, 0.261)
O (0.350, 0.477, 0.594)
P (0.263, 0.941, 0.707)
O (0.101, 0.473, 0.384)
F (0.323, 0.191, 0.442)
Li (0.392, 0.666, 0.477)
O (0.438, 0.804, 0.721)
Mn (0.665, 0.666, 0.667)
V (0.004, 0.003, 0.000)
Mn (0.996, 0.997, 0.500)
O (0.583, 0.888, 0.226)
O (0.565, 0.194, 0.282)
O (0.751, 0.448, 0.107)
O (0.317, 0.189, 0.073)
O (0.415, 0.112, 0.772)
P (0.069, 0.389, 0.627)
O (0.649, 0.523, 0.405)
F (0.673, 0.817, 0.552)
O (0.425, 0.673, 0.059)
Li (0.274, 0.002, 0.190)
F (0.989, 0.857, 0.109)
O (0.084, 0.779, 0.439)
Li (0.728, 0.995, 0.808)
O (0.231, 0.860, 0.946)
F (0.024, 0.151, 0.887)
O (0.917, 0.220, 0.560)
P (0.739, 0.056, 0.293)
F (0.344, 0.476, 0.225)
Li (0.060, 0.331, 0.143)
Mn (0.669, 0.669, 0.166)
O (0.089, 0.339, 0.725)

Results
Energy above the most stable polymorph in this dataset in meV/atom: 28
Energy of formation from the pure elements in meV/atom: -2733